1.
A plane-wave DFT calculation with PBE-GGA was carried out for Ca4Ce2TiSi4B4O24 after structural relaxation.

Geometry as POSCAR:
```
Ca4Ce2TiSi4B4O24
1.0
10.368 0.000 0.000
0.000 4.808 0.000
-7.136 0.000 17.678
Ca Ce Ti Si B O
8 4 2 8 8 48
Direct
0.070 0.035 0.344 Ca
0.070 0.965 0.844 Ca
0.338 0.000 0.253 Ca
0.338 0.000 0.753 Ca
0.662 0.000 0.247 Ca
0.662 0.000 0.747 Ca
0.930 0.035 0.156 Ca
0.930 0.965 0.656 Ca
0.345 0.016 0.536 Ce
0.345 0.984 0.036 Ce
0.655 0.016 0.964 Ce
0.655 0.984 0.464 Ce
0.000 0.000 0.000 Ti
0.000 0.000 0.500 Ti
0.163 0.498 0.114 Si
0.163 0.502 0.614 Si
0.355 0.485 0.898 Si
0.355 0.515 0.398 Si
0.645 0.485 0.602 Si
0.645 0.515 0.102 Si
0.837 0.498 0.386 Si
0.837 0.502 0.886 Si
0.133 0.464 0.754 B
0.133 0.536 0.254 B
0.451 0.474 0.172 B
0.451 0.526 0.672 B
0.549 0.474 0.328 B
0.549 0.526 0.828 B
0.867 0.464 0.746 B
0.867 0.536 0.246 B
0.000 0.338 0.750 O
0.000 0.662 0.250 O
0.043 0.262 0.086 O
0.043 0.738 0.586 O
0.142 0.162 0.970 O
0.142 0.838 0.470 O
0.143 0.245 0.255 O
0.143 0.755 0.755 O
0.158 0.251 0.556 O
0.158 0.749 0.056 O
0.162 0.331 0.689 O
0.162 0.669 0.189 O
0.243 0.318 0.824 O
0.243 0.682 0.324 O
0.277 0.290 0.433 O
0.277 0.710 0.933 O
0.311 0.326 0.132 O
0.311 0.674 0.632 O
0.438 0.241 0.959 O
0.438 0.759 0.459 O
0.444 0.232 0.664 O
0.444 0.768 0.164 O
0.463 0.334 0.368 O
0.463 0.666 0.868 O
0.500 0.362 0.250 O
0.500 0.638 0.750 O
0.537 0.334 0.132 O
0.537 0.666 0.632 O
0.556 0.232 0.836 O
0.556 0.768 0.336 O
0.562 0.241 0.541 O
0.562 0.759 0.041 O
0.689 0.326 0.368 O
0.689 0.674 0.868 O
0.723 0.290 0.067 O
0.723 0.710 0.567 O
0.757 0.318 0.676 O
0.757 0.682 0.176 O
0.838 0.331 0.811 O
0.838 0.669 0.311 O
0.842 0.251 0.944 O
0.842 0.749 0.444 O
0.857 0.245 0.245 O
0.857 0.755 0.745 O
0.858 0.162 0.530 O
0.858 0.838 0.030 O
0.957 0.262 0.414 O
0.957 0.738 0.914 O
```

## Properties
- Formation energy from the elements: -3.358 eV per atom
- V: 11.3 Å³/atom

---

2.
A plane-wave DFT calculation with PBE-GGA was carried out for SrCaB5H2ClO10 after structural relaxation.

Geometry as POSCAR:
```
SrCaB5H2ClO10
1.0
6.425 0.000 0.000
3.202 5.749 0.000
3.204 0.277 5.911
Sr Ca B H Cl O
1 1 5 2 1 10
Direct
0.000 0.000 0.000 Sr
0.889 0.455 0.452 Ca
0.354 0.978 0.327 B
0.375 0.571 0.446 B
0.492 0.126 0.539 B
0.592 0.013 0.875 B
0.953 0.900 0.486 B
0.022 0.522 0.954 H
0.281 0.457 0.980 H
0.667 0.488 0.911 Cl
0.090 0.550 0.043 O
0.103 0.034 0.324 O
0.127 0.644 0.464 O
0.295 0.139 0.482 O
0.402 0.086 0.796 O
0.475 0.729 0.405 O
0.533 0.345 0.480 O
0.545 0.010 0.097 O
0.747 0.937 0.428 O
0.851 0.959 0.724 O
```

## Properties
- Formation energy from the elements: -2.749 eV per atom
- V: 10.9 Å³/atom